# 1
Material: Sm15Ga44Ni52
Method: DFT, PBE-GGA
State: optimized geometry

Unit cell a=8.882 b=8.882 c=25.034 alpha=90.00 beta=90.00 gamma=120.00
Element x y z (fractional)
1 Sm 0.000 0.000 0.000
2 Sm 0.000 0.000 0.267
3 Sm 0.000 0.000 0.414
4 Sm 0.000 0.000 0.586
5 Sm 0.000 0.000 0.733
6 Sm 0.333 0.667 0.102
7 Sm 0.333 0.667 0.271
8 Sm 0.333 0.667 0.416
9 Sm 0.333 0.667 0.584
10 Sm 0.333 0.667 0.729
11 Sm 0.333 0.667 0.898
12 Sm 0.667 0.333 0.094
13 Sm 0.667 0.333 0.336
14 Sm 0.667 0.333 0.664
15 Sm 0.667 0.333 0.906
16 Ga 0.000 0.000 0.130
17 Ga 0.000 0.000 0.870
18 Ga 0.003 0.305 0.086
19 Ga 0.003 0.305 0.914
20 Ga 0.003 0.698 0.086
21 Ga 0.003 0.698 0.914
22 Ga 0.016 0.508 0.179
23 Ga 0.016 0.508 0.821
24 Ga 0.154 0.309 0.500
25 Ga 0.154 0.846 0.500
26 Ga 0.166 0.332 0.199
27 Ga 0.166 0.332 0.801
28 Ga 0.166 0.834 0.199
29 Ga 0.166 0.834 0.801
30 Ga 0.213 0.425 0.000
31 Ga 0.213 0.787 0.000
32 Ga 0.302 0.305 0.086
33 Ga 0.302 0.305 0.914
34 Ga 0.302 0.997 0.086
35 Ga 0.302 0.997 0.914
36 Ga 0.351 0.175 0.183
37 Ga 0.351 0.175 0.817
38 Ga 0.401 0.201 0.000
39 Ga 0.492 0.508 0.179
40 Ga 0.492 0.508 0.821
41 Ga 0.492 0.984 0.179
42 Ga 0.492 0.984 0.821
43 Ga 0.520 0.040 0.500
44 Ga 0.520 0.480 0.500
45 Ga 0.575 0.787 0.000
46 Ga 0.668 0.834 0.199
47 Ga 0.668 0.834 0.801
48 Ga 0.691 0.846 0.500
49 Ga 0.695 0.698 0.086
50 Ga 0.695 0.698 0.914
51 Ga 0.695 0.997 0.086
52 Ga 0.695 0.997 0.914
53 Ga 0.799 0.201 0.000
54 Ga 0.799 0.599 0.000
55 Ga 0.825 0.175 0.183
56 Ga 0.825 0.175 0.817
57 Ga 0.825 0.649 0.183
58 Ga 0.825 0.649 0.817
59 Ga 0.960 0.480 0.500
60 Ni 0.031 0.516 0.343
61 Ni 0.031 0.516 0.657
62 Ni 0.167 0.334 0.340
63 Ni 0.167 0.334 0.660
64 Ni 0.167 0.833 0.340
65 Ni 0.167 0.833 0.660
66 Ni 0.303 0.151 0.342
67 Ni 0.303 0.151 0.658
68 Ni 0.327 0.164 0.500
69 Ni 0.357 0.025 0.419
70 Ni 0.357 0.025 0.581
71 Ni 0.357 0.332 0.419
72 Ni 0.357 0.332 0.581
73 Ni 0.372 0.036 0.264
74 Ni 0.372 0.036 0.736
75 Ni 0.372 0.337 0.264
76 Ni 0.372 0.337 0.736
77 Ni 0.484 0.516 0.343
78 Ni 0.484 0.516 0.657
79 Ni 0.484 0.969 0.343
80 Ni 0.484 0.969 0.657
81 Ni 0.502 0.005 0.000
82 Ni 0.502 0.498 0.000
83 Ni 0.663 0.036 0.264
84 Ni 0.663 0.036 0.736
85 Ni 0.663 0.628 0.264
86 Ni 0.663 0.628 0.736
87 Ni 0.666 0.833 0.340
88 Ni 0.666 0.833 0.660
89 Ni 0.667 0.333 0.212
90 Ni 0.667 0.333 0.449
91 Ni 0.667 0.333 0.551
92 Ni 0.667 0.333 0.788
93 Ni 0.668 0.025 0.419
94 Ni 0.668 0.025 0.581
95 Ni 0.668 0.643 0.419
96 Ni 0.668 0.643 0.581
97 Ni 0.836 0.164 0.500
98 Ni 0.836 0.673 0.500
99 Ni 0.849 0.151 0.342
100 Ni 0.849 0.151 0.658
101 Ni 0.849 0.697 0.342
102 Ni 0.849 0.697 0.658
103 Ni 0.964 0.337 0.264
104 Ni 0.964 0.337 0.736
105 Ni 0.964 0.628 0.264
106 Ni 0.964 0.628 0.736
107 Ni 0.975 0.332 0.419
108 Ni 0.975 0.332 0.581
109 Ni 0.975 0.643 0.419
110 Ni 0.975 0.643 0.581
111 Ni 0.995 0.498 0.000

Computed properties:
The formation energy comes out at -0.28 eV/atom. Its total energy is -0.3549 Ry per atom. For the total magnetization, the calculation gives 0.00 Bohr magnetons per cell. As for the crystal system: hexagonal.

***

# 2
Material: Ga3Ni12Sn
Method: DFT, PBE-GGA
State: optimized geometry

Unit cell a=3.624 b=3.624 c=14.376 alpha=90.00 beta=90.00 gamma=90.00
Element x y z (fractional)
1 Ga 0.000 0.000 0.000
2 Ga 0.000 0.000 0.246
3 Ga 0.000 0.000 0.754
4 Ni 0.000 0.500 0.124
5 Ni 0.000 0.500 0.367
6 Ni 0.000 0.500 0.633
7 Ni 0.000 0.500 0.876
8 Ni 0.500 0.000 0.124
9 Ni 0.500 0.000 0.367
10 Ni 0.500 0.000 0.633
11 Ni 0.500 0.000 0.876
12 Ni 0.500 0.500 0.000
13 Ni 0.500 0.500 0.246
14 Ni 0.500 0.500 0.500
15 Ni 0.500 0.500 0.754
16 Sn 0.000 0.000 0.500

Computed properties:
The formation energy comes out at -0.26 eV/atom. Its total energy is -0.3977 Ry per atom. For the total magnetization, the calculation gives 2.56 Bohr magnetons per cell. As for the crystal system: tetragonal.

***

# 3
Material: Ga3Ni5Sn2
Method: DFT, PBE-GGA
State: optimized geometry

Unit cell a=6.530 b=6.530 c=11.546 alpha=90.00 beta=90.00 gamma=143.36
Element x y z (fractional)
1 Ga 0.000 0.000 0.000
2 Ga 0.000 0.000 0.500
3 Ga 0.332 0.668 0.526
4 Ga 0.332 0.668 0.974
5 Ga 0.668 0.332 0.026
6 Ga 0.668 0.332 0.474
7 Ni 0.159 0.841 0.623
8 Ni 0.159 0.841 0.877
9 Ni 0.339 0.661 0.750
10 Ni 0.480 0.520 0.120
11 Ni 0.480 0.520 0.380
12 Ni 0.520 0.480 0.620
13 Ni 0.520 0.480 0.880
14 Ni 0.661 0.339 0.250
15 Ni 0.841 0.159 0.123
16 Ni 0.841 0.159 0.377
17 Sn 0.032 0.968 0.250
18 Sn 0.292 0.708 0.250
19 Sn 0.708 0.292 0.750
20 Sn 0.968 0.032 0.750

Computed properties:
The formation energy comes out at -0.33 eV/atom. Its total energy is -0.3622 Ry per atom. For the total magnetization, the calculation gives 0.00 Bohr magnetons per cell. As for the crystal system: orthorhombic.

***

# 4
Material: TbGa4Ni
Method: DFT, PBE-GGA
State: optimized geometry

Unit cell a=7.906 b=7.906 c=6.551 alpha=90.00 beta=90.00 gamma=149.63
Element x y z (fractional)
1 Tb 0.118 0.882 0.750
2 Tb 0.882 0.118 0.250
3 Ga 0.072 0.928 0.250
4 Ga 0.315 0.685 0.551
5 Ga 0.315 0.685 0.949
6 Ga 0.500 0.500 0.000
7 Ga 0.500 0.500 0.500
8 Ga 0.685 0.315 0.051
9 Ga 0.685 0.315 0.449
10 Ga 0.928 0.072 0.750
11 Ni 0.225 0.775 0.250
12 Ni 0.775 0.225 0.750

Computed properties:
The formation energy comes out at -0.54 eV/atom. Its total energy is -0.3159 Ry per atom. For the total magnetization, the calculation gives 0.00 Bohr magnetons per cell. As for the crystal system: orthorhombic.

***

# 5
Material: Tb6GaNi2
Method: DFT, PBE-GGA
State: optimized geometry

Unit cell a=8.344 b=8.344 c=8.344 alpha=112.13 beta=110.00 gamma=106.33
Element x y z (fractional)
1 Tb 0.037 0.234 0.803
2 Tb 0.182 0.286 0.469
3 Tb 0.182 0.714 0.896
4 Tb 0.322 0.014 0.692
5 Tb 0.322 0.630 0.308
6 Tb 0.431 0.234 0.197
7 Tb 0.569 0.766 0.803
8 Tb 0.678 0.370 0.692
9 Tb 0.678 0.986 0.308
10 Tb 0.818 0.286 0.104
11 Tb 0.818 0.714 0.531
12 Tb 0.963 0.766 0.197
13 Ga 0.000 0.000 0.000
14 Ga 0.500 0.500 0.000
15 Ni 0.121 0.621 0.500
16 Ni 0.356 0.000 0.356
17 Ni 0.644 0.000 0.644
18 Ni 0.879 0.379 0.500

Computed properties:
The formation energy comes out at -0.34 eV/atom. Its total energy is -0.3715 Ry per atom. For the total magnetization, the calculation gives 0.25 Bohr magnetons per cell. As for the crystal system: orthorhombic.

***

# 6
Material: TbGaNi4
Method: DFT, PBE-GGA
State: optimized geometry

Unit cell a=8.589 b=8.589 c=4.023 alpha=90.00 beta=90.00 gamma=120.00
Element x y z (fractional)
1 Tb 0.000 0.000 0.000
2 Tb 0.333 0.667 0.500
3 Tb 0.667 0.333 0.500
4 Ga 0.000 0.500 0.000
5 Ga 0.500 0.000 0.000
6 Ga 0.500 0.500 0.000
7 Ni 0.000 0.306 0.500
8 Ni 0.000 0.694 0.500
9 Ni 0.180 0.360 0.000
10 Ni 0.180 0.820 0.000
11 Ni 0.306 0.000 0.500
12 Ni 0.306 0.306 0.500
13 Ni 0.360 0.180 0.000
14 Ni 0.640 0.820 0.000
15 Ni 0.694 0.000 0.500
16 Ni 0.694 0.694 0.500
17 Ni 0.820 0.180 0.000
18 Ni 0.820 0.640 0.000

Computed properties:
The formation energy comes out at -0.45 eV/atom. Its total energy is -0.4101 Ry per atom. As for the crystal system: hexagonal.

***

# 7
Material: Ga2Ni5Te4
Method: DFT, PBE-GGA
State: optimized geometry

Unit cell a=3.866 b=3.866 c=15.495 alpha=90.00 beta=90.00 gamma=120.00
Element x y z (fractional)
1 Ga 0.333 0.667 0.245
2 Ga 0.667 0.333 0.755
3 Ni 0.000 0.000 0.172
4 Ni 0.000 0.000 0.332
5 Ni 0.000 0.000 0.500
6 Ni 0.000 0.000 0.668
7 Ni 0.000 0.000 0.828
8 Te 0.333 0.667 0.592
9 Te 0.333 0.667 0.906
10 Te 0.667 0.333 0.094
11 Te 0.667 0.333 0.408

Computed properties:
The formation energy comes out at -0.39 eV/atom. Its total energy is -0.3352 Ry per atom. For the total magnetization, the calculation gives 0.00 Bohr magnetons per cell. The total energy after the MP2020 corrections comes out at -4.7145 eV per atom. As for the crystal system: trigonal.

***

# 8
Material: Ti2GaNi
Method: DFT, PBE-GGA
State: optimized geometry

Unit cell a=4.355 b=4.355 c=4.355 alpha=60.00 beta=60.00 gamma=60.00
Element x y z (fractional)
1 Ti 0.000 0.000 0.000
2 Ti 0.250 0.250 0.250
3 Ga 0.500 0.500 0.500
4 Ni 0.750 0.750 0.750

Computed properties:
The formation energy comes out at -0.27 eV/atom. Its total energy is -0.4715 Ry per atom. For the total magnetization, the calculation gives 3.00 Bohr magnetons per cell. As for the crystal system: cubic.